(a)
Entry from Materials Project: Ag2WO4 after structural relaxation (PBE with a Hubbard U).

a = 5.950 Å, b = 11.164 Å, c = 12.305 Å
α = 90.00°, β = 90.00°, γ = 90.00°
Fractional positions:
O1 0.200 0.366 0.384
Ag1 0.500 0.000 0.505
O2 0.850 0.413 0.496
Ag2 0.000 0.000 0.990
W1 0.964 0.751 0.495
O3 0.350 0.087 0.996
Ag3 0.000 0.500 0.005
O4 0.800 0.634 0.384
O5 0.789 0.346 0.998
O6 0.808 0.425 0.260
O7 0.365 0.311 0.108
Ag4 0.013 0.246 0.173
Ag5 0.487 0.746 0.673
W2 0.500 0.000 0.852
Ag6 0.020 0.238 0.818
O8 0.199 0.367 0.607
O9 0.700 0.134 0.884
W3 0.500 0.000 0.141
O10 0.711 0.846 0.498
O11 0.128 0.811 0.380
O12 0.635 0.689 0.108
Ag7 0.500 0.500 0.154
O13 0.289 0.154 0.498
O14 0.308 0.075 0.760
O15 0.814 0.421 0.734
Ag8 0.500 0.500 0.490
O16 0.135 0.811 0.608
O17 0.150 0.587 0.496
O18 0.699 0.133 0.107
O19 0.192 0.575 0.260
O20 0.692 0.925 0.760
Ag9 0.000 0.000 0.316
O21 0.211 0.654 0.998
W4 0.536 0.251 0.995
O22 0.801 0.633 0.607
O23 0.628 0.689 0.880
W5 0.036 0.249 0.495
W6 0.464 0.749 0.995
O24 0.650 0.913 0.996
O25 0.300 0.866 0.884
Ag10 0.987 0.754 0.173
O26 0.314 0.079 0.234
O27 0.186 0.579 0.734
Ag11 0.500 0.500 0.816
Ag12 0.480 0.738 0.318
O28 0.865 0.189 0.608
Ag13 0.520 0.262 0.318
O29 0.372 0.311 0.880
W7 0.000 0.500 0.641
Ag14 0.000 0.000 0.654
O30 0.686 0.921 0.234
Ag15 0.513 0.254 0.673
O31 0.301 0.867 0.107
W8 0.000 0.500 0.352
Ag16 0.980 0.762 0.818
O32 0.872 0.189 0.380

(b)
Entry from Materials Project: Ag2WO4 after structural relaxation (PBE with a Hubbard U).

a = 6.083 Å, b = 11.393 Å, c = 11.842 Å
α = 90.00°, β = 90.00°, γ = 90.00°
Fractional positions:
Ag1 0.500 0.500 0.841
Ag2 0.500 0.500 0.144
Ag3 0.504 0.260 0.310
O1 0.802 0.634 0.608
Ag4 0.000 0.500 0.995
O2 0.303 0.077 0.746
O3 0.189 0.362 0.362
O4 0.302 0.866 0.108
Ag5 0.996 0.760 0.810
O5 0.221 0.837 0.407
O6 0.762 0.872 0.492
O7 0.805 0.419 0.724
O8 0.695 0.919 0.224
W1 0.000 0.500 0.336
O9 0.698 0.134 0.108
O10 0.195 0.581 0.724
O11 0.311 0.862 0.862
O12 0.151 0.576 0.484
O13 0.697 0.923 0.746
O14 0.849 0.424 0.484
O15 0.198 0.366 0.608
W2 0.500 0.000 0.836
Ag6 0.000 0.000 0.341
O16 0.238 0.128 0.492
O17 0.262 0.319 0.040
W3 0.461 0.759 0.986
O18 0.811 0.638 0.362
O19 0.651 0.924 0.984
Ag7 0.496 0.740 0.310
W4 0.539 0.241 0.986
O20 0.803 0.423 0.246
W5 0.961 0.741 0.486
W6 0.039 0.259 0.486
O21 0.738 0.681 0.040
W7 0.500 0.000 0.134
Ag8 0.000 0.000 0.987
O22 0.689 0.138 0.862
Ag9 0.012 0.232 0.165
O23 0.738 0.372 0.992
O24 0.262 0.628 0.992
Ag10 0.988 0.768 0.165
O25 0.779 0.163 0.407
Ag11 0.512 0.268 0.665
O26 0.721 0.663 0.907
O27 0.279 0.337 0.907
O28 0.349 0.076 0.984
Ag12 0.488 0.732 0.665
Ag13 0.500 0.000 0.495
Ag14 0.500 0.500 0.487
O29 0.305 0.081 0.224
Ag15 0.000 0.000 0.644
O30 0.762 0.181 0.540
O31 0.238 0.819 0.540
Ag16 0.004 0.240 0.810
O32 0.197 0.577 0.246
W8 0.000 0.500 0.634

(a) comes first in stability; the runner-up is 42.9 kJ/mol of atoms higher.

(a)
Entry from Materials Project: Ba2AlTlCo2O7 after structural relaxation (PBE with a Hubbard U).

a = 4.019 Å, b = 4.323 Å, c = 11.541 Å
α = 89.80°, β = 81.16°, γ = 89.97°
Fractional positions:
O1 0.669 0.086 0.592
Ba1 0.388 0.514 0.222
Ba2 0.611 0.518 0.778
Co1 0.861 0.986 0.378
Tl1 0.000 0.076 0.000
O2 0.328 0.086 0.411
Co2 0.139 0.986 0.618
O3 0.083 0.977 0.816
O4 0.500 0.347 0.000
O5 0.799 0.535 0.388
O6 0.918 0.979 0.186
O7 0.201 0.535 0.611
Al1 0.503 0.376 0.500

(b)
Entry from Materials Project: Ba2AlTlCo2O7 after structural relaxation (PBE with a Hubbard U).

a = 4.043 Å, b = 4.267 Å, c = 11.559 Å
α = 89.57°, β = 81.29°, γ = 89.82°
Fractional positions:
Ba1 0.392 0.517 0.222
O1 0.802 0.531 0.387
Al1 0.504 0.372 0.500
O2 0.079 0.982 0.816
O3 0.330 0.081 0.411
Co1 0.134 0.987 0.617
O4 0.499 0.348 0.002
Tl1 0.001 0.081 0.000
Co2 0.865 0.989 0.374
O5 0.664 0.080 0.594
O6 0.197 0.529 0.610
O7 0.925 0.983 0.187
Ba2 0.607 0.520 0.777

(b) comes first in stability; the runner-up is 5.0 kJ/mol of atoms higher.

(a)
Entry from Materials Project: Ba2MgAl2Fe8O14 after structural relaxation (PBE with a Hubbard U).

a = 5.973 Å, b = 6.509 Å, c = 10.986 Å
α = 91.31°, β = 96.48°, γ = 121.81°
Fractional positions:
O1 0.492 0.445 0.786
Fe1 0.380 0.177 0.173
O2 0.883 0.676 0.996
O3 0.081 0.022 0.277
Al1 0.678 0.323 0.903
Fe2 0.985 0.957 0.446
O4 0.879 0.220 0.005
Ba1 0.723 0.351 0.439
Fe3 0.925 0.211 0.183
O5 0.957 0.462 0.798
O6 0.079 0.535 0.281
O7 0.403 0.216 0.000
O8 0.553 0.535 0.261
Fe4 0.890 0.686 0.174
Al2 0.433 0.719 0.314
O9 0.110 0.770 0.579
Mg1 0.275 0.104 0.688
O10 0.228 0.283 0.544
Fe5 0.539 0.892 0.644
Ba2 0.375 0.695 0.973
Fe6 0.014 0.020 0.924
Fe7 0.831 0.650 0.715
O11 0.605 0.859 0.468
O12 0.483 0.015 0.797
O13 0.539 0.974 0.224
Fe8 0.134 0.401 0.682
O14 0.911 0.991 0.733

(b)
Entry from Materials Project: Ba2MgAl2Fe8O14 after structural relaxation (PBE with a Hubbard U).

a = 6.096 Å, b = 6.211 Å, c = 10.298 Å
α = 96.09°, β = 86.62°, γ = 119.52°
Fractional positions:
O1 0.022 0.449 0.326
O2 0.820 0.215 0.998
Fe1 0.849 0.189 0.181
O3 0.940 0.457 0.760
Fe2 0.014 0.020 0.943
O4 0.518 0.468 0.311
Ba1 0.628 0.274 0.550
O5 0.481 0.868 0.231
Al1 0.381 0.690 0.391
O6 0.217 0.875 0.477
Fe3 0.611 0.788 0.678
Ba2 0.286 0.672 0.964
O7 0.277 0.490 0.542
Al2 0.652 0.338 0.881
O8 0.712 0.883 0.479
O9 0.994 0.963 0.244
O10 0.483 0.005 0.774
Fe4 0.144 0.291 0.708
Mg1 0.899 0.699 0.366
Fe5 0.656 0.645 0.147
Fe6 0.145 0.766 0.664
O11 0.826 0.659 0.984
O12 0.371 0.243 0.017
O13 0.494 0.460 0.774
Fe7 0.077 0.181 0.421
Fe8 0.368 0.118 0.193
O14 0.968 0.952 0.748

(a) comes first in stability; the runner-up is 1.2 kJ/mol of atoms higher.

(a)
Entry from Materials Project: Ba2AlTlFe2O7 after structural relaxation (PBE with a Hubbard U).

a = 3.858 Å, b = 3.858 Å, c = 12.991 Å
α = 90.00°, β = 90.00°, γ = 90.00°
Fractional positions:
O1 0.500 0.500 0.000
O2 0.500 0.000 0.597
Tl1 0.000 0.000 0.000
Ba1 0.500 0.500 0.795
Fe1 0.000 0.000 0.385
O3 0.000 0.500 0.403
Ba2 0.500 0.500 0.205
O4 0.000 0.500 0.597
O5 0.500 0.000 0.403
Al1 0.500 0.500 0.500
O6 0.000 0.000 0.831
O7 0.000 0.000 0.169
Fe2 0.000 0.000 0.615

(b)
Entry from Materials Project: Ba2AlTlFe2O7 after structural relaxation (PBE with a Hubbard U).

a = 4.037 Å, b = 4.103 Å, c = 12.028 Å
α = 84.21°, β = 84.44°, γ = 87.30°
Fractional positions:
O1 0.599 0.164 0.606
O2 0.488 0.368 0.998
Al1 0.502 0.509 0.500
O3 0.148 0.613 0.604
O4 0.854 0.404 0.396
Fe1 0.920 0.923 0.378
O5 0.405 0.857 0.396
O6 0.953 0.940 0.180
Ba1 0.437 0.443 0.216
Ba2 0.565 0.577 0.784
Fe2 0.084 0.093 0.625
Tl1 0.006 0.073 0.999
O7 0.040 0.035 0.817

(b) comes first in stability; the runner-up is 15.3 kJ/mol of atoms higher.